First-principles (PBE+U) data for a geometry-optimized Li2TiCo3O8 structure, as listed in the Materials Project.

a = 8.101 Å, b = 8.458 Å, c = 8.531 Å
α = 90.18°, β = 90.10°, γ = 90.06°
Sites, in units of the cell vectors:
Li 0.000 0.000 0.000
Li 0.011 0.499 0.503
Li 0.250 0.746 0.749
Li 0.263 0.250 0.249
Li 0.499 0.497 0.001
Li 0.511 0.001 0.496
Li 0.751 0.752 0.246
Li 0.763 0.247 0.749
Ti 0.129 0.884 0.361
Ti 0.381 0.118 0.873
Ti 0.627 0.615 0.637
Ti 0.885 0.375 0.127
Co 0.127 0.127 0.626
Co 0.131 0.370 0.876
Co 0.138 0.619 0.120
Co 0.378 0.374 0.625
Co 0.381 0.628 0.377
Co 0.387 0.874 0.128
Co 0.626 0.371 0.369
Co 0.630 0.129 0.120
Co 0.640 0.879 0.878
Co 0.875 0.119 0.373
Co 0.880 0.870 0.620
Co 0.885 0.624 0.874
O 0.105 0.881 0.611
O 0.120 0.110 0.383
O 0.123 0.378 0.104
O 0.124 0.595 0.885
O 0.137 0.361 0.651
O 0.138 0.146 0.869
O 0.143 0.868 0.139
O 0.157 0.636 0.368
O 0.361 0.361 0.863
O 0.369 0.130 0.643
O 0.370 0.864 0.366
O 0.371 0.639 0.138
O 0.392 0.386 0.392
O 0.393 0.617 0.615
O 0.394 0.892 0.879
O 0.399 0.118 0.107
O 0.605 0.619 0.386
O 0.622 0.121 0.895
O 0.623 0.903 0.114
O 0.625 0.391 0.615
O 0.639 0.133 0.345
O 0.639 0.353 0.129
O 0.640 0.631 0.858
O 0.655 0.862 0.631
O 0.863 0.139 0.133
O 0.867 0.369 0.356
O 0.871 0.857 0.868
O 0.872 0.641 0.632
O 0.888 0.102 0.608
O 0.894 0.880 0.378
O 0.895 0.606 0.119
O 0.899 0.381 0.890

crystal system: triclinic
calculated formation energy: -26.9 eV per formula unit
polymorph energy (0 for the lowest one): 58 meV per atom
total energy after the MP2020 corrections: -0.5225 Ry/atom
total energy: -6.37 eV/atom
M_tot: 1.00 μB per formula unit